Computed, not measured: an optimized crystal structure of MgMo3S4 at the GGA-PBE level of DFT.

Geometry as POSCAR:
```
MgMo3S4
1.0
6.7067 0.0000 0.0000
-0.8691 6.6502 0.0000
-0.6301 -1.0837 6.6042
Mg Mo S
2 6 8
direct
0.0704 0.3225 0.0995 Mg
0.9296 0.6775 0.9005 Mg
0.2329 0.0378 0.4088 Mo
0.4030 0.7288 0.5351 Mo
0.4609 0.1017 0.7689 Mo
0.5391 0.8983 0.2311 Mo
0.5970 0.2712 0.4649 Mo
0.7671 0.9622 0.5912 Mo
0.1322 0.8860 0.7059 S
0.1982 0.6942 0.1912 S
0.2936 0.3680 0.6275 S
0.3948 0.2039 0.1397 S
0.6052 0.7961 0.8603 S
0.7064 0.6320 0.3725 S
0.8018 0.3058 0.8088 S
0.8678 0.1140 0.2941 S
```

Calculated values
Magnetization = 0.00 Bohr magnetons per cell
VASP energy = -7.134 eV/atom

***

Computed, not measured: an optimized crystal structure of NbMoN2 at the GGA-PBE level of DFT.

Geometry as POSCAR:
```
NbMoN2
1.0
1.5707 0.9068 5.0030
-1.5707 0.9068 5.0030
0.0000 -1.8137 5.0030
Nb Mo N
1 1 2
direct
0.0000 0.0000 0.0000 Nb
0.5000 0.5000 0.5000 Mo
0.2490 0.2490 0.2490 N
0.7510 0.7510 0.7510 N
```

Calculated values
Magnetization = 0.01 Bohr magnetons per cell
VASP energy = -9.818 eV/atom

***

Computed, not measured: an optimized crystal structure of TbIO9 at the GGA-PBE level of DFT.

Geometry as POSCAR:
```
TbIO9
1.0
7.0039 0.0000 0.0000
0.0000 11.1347 0.0000
-6.0134 0.0000 7.9427
Tb I O
4 4 36
direct
0.2475 0.0821 0.2138 Tb
0.2475 0.4179 0.7138 Tb
0.7525 0.5821 0.2862 Tb
0.7525 0.9179 0.7862 Tb
0.0135 0.1645 0.7523 I
0.0135 0.3355 0.2523 I
0.9865 0.6645 0.7477 I
0.9865 0.8355 0.2477 I
0.0749 0.7228 0.4197 O
0.0749 0.7772 0.9197 O
0.0807 0.0628 0.9294 O
0.0807 0.4372 0.4294 O
0.1670 0.7189 0.2238 O
0.1670 0.7811 0.7238 O
0.1946 0.0818 0.6913 O
0.1946 0.4182 0.1913 O
0.2473 0.5582 0.8866 O
0.2473 0.9418 0.3866 O
0.2842 0.2348 0.3946 O
0.2842 0.2652 0.8946 O
0.3258 0.5631 0.1416 O
0.3258 0.9369 0.6416 O
0.4447 0.5893 0.6898 O
0.4447 0.9107 0.1898 O
0.4635 0.2457 0.1748 O
0.4635 0.2543 0.6748 O
0.5365 0.7457 0.3252 O
0.5365 0.7543 0.8252 O
0.5553 0.0893 0.8102 O
0.5553 0.4107 0.3102 O
0.6742 0.0631 0.3584 O
0.6742 0.4369 0.8584 O
0.7158 0.7348 0.1054 O
0.7158 0.7652 0.6054 O
0.7527 0.0582 0.6134 O
0.7527 0.4418 0.1134 O
0.8054 0.5818 0.8087 O
0.8054 0.9182 0.3087 O
0.8330 0.2189 0.2762 O
0.8330 0.2811 0.7762 O
0.9193 0.5628 0.5706 O
0.9193 0.9372 0.0706 O
0.9251 0.2228 0.0803 O
0.9251 0.2772 0.5803 O
```

Calculated values
Magnetization = 32.00 Bohr magnetons per cell
VASP energy = -4.651 eV/atom

***

Computed, not measured: an optimized crystal structure of CaH12W6Cl2 at the GGA-PBE level of DFT.

Geometry as POSCAR:
```
CaH12W6Cl2
1.0
11.1374 0.0000 0.0000
-5.5687 9.6452 0.0000
0.0000 0.0000 2.5737
Ca H W Cl
1 12 6 2
direct
0.0000 0.0000 0.0000 Ca
0.0422 0.5946 0.0211 H
0.1428 0.7864 0.4996 H
0.2136 0.3564 0.4996 H
0.3564 0.2136 0.5004 H
0.4054 0.4476 0.0211 H
0.4476 0.4054 0.9789 H
0.5524 0.9578 0.0211 H
0.5946 0.0422 0.9789 H
0.6436 0.8572 0.4996 H
0.7864 0.1428 0.5004 H
0.8572 0.6436 0.5004 H
0.9578 0.5524 0.9789 H
0.0000 0.2338 0.5000 W
0.0000 0.7434 0.0000 W
0.2338 0.0000 0.5000 W
0.2566 0.2566 0.0000 W
0.7434 0.0000 0.0000 W
0.7662 0.7662 0.5000 W
0.3333 0.6667 0.3659 Cl
0.6667 0.3333 0.6341 Cl
```

Calculated values
Magnetization = 0.00 Bohr magnetons per cell
VASP energy = -5.307 eV/atom